[1]
The following is a PBE-GGA calculation of Sr2RhF7 after structural relaxation, from the Materials Project database.

MP2020-corrected energy: -5.695 eV/atom
ΔH_f (0 K): -3.2809 eV per atom

Lattice parameters (Å, degrees): 5.619 11.828 8.806 90.00 90.90 90.00
Positions (direct):
Sr 0.223 0.058 0.153
Sr 0.223 0.442 0.653
Sr 0.232 0.707 0.052
Sr 0.232 0.793 0.552
Sr 0.768 0.207 0.448
Sr 0.768 0.293 0.948
Sr 0.777 0.558 0.347
Sr 0.777 0.942 0.847
Rh 0.311 0.132 0.681
Rh 0.311 0.368 0.181
Rh 0.689 0.632 0.819
Rh 0.689 0.868 0.319
F 0.011 0.226 0.715
F 0.011 0.274 0.215
F 0.107 0.606 0.509
F 0.107 0.894 0.009
F 0.133 0.516 0.177
F 0.133 0.984 0.677
F 0.235 0.164 0.462
F 0.235 0.336 0.962
F 0.385 0.555 0.871
F 0.385 0.945 0.371
F 0.416 0.101 0.898
F 0.416 0.399 0.398
F 0.490 0.723 0.311
F 0.490 0.777 0.811
F 0.510 0.223 0.189
F 0.510 0.277 0.689
F 0.584 0.601 0.602
F 0.584 0.899 0.102
F 0.615 0.055 0.629
F 0.615 0.445 0.129
F 0.765 0.664 0.038
F 0.765 0.836 0.538
F 0.867 0.016 0.323
F 0.867 0.484 0.823
F 0.893 0.106 0.991
F 0.893 0.394 0.491
F 0.989 0.726 0.785
F 0.989 0.774 0.285


[2]
The following is a PBE-GGA calculation of Sr3RhF12 after structural relaxation, from the Materials Project database.

total moment: 1.000 μB/cell
MP2020-corrected energy: -5.048 eV/atom
ΔH_f (0 K): -2.8355 eV per atom

Lattice parameters (Å, degrees): 7.844 7.844 6.286 90.33 90.33 120.08
Positions (direct):
Sr 0.000 0.000 0.000
Sr 0.000 0.500 0.500
Sr 0.500 0.000 0.500
Rh 0.000 0.000 0.500
F 0.062 0.234 0.312
F 0.065 0.236 0.690
F 0.234 0.062 0.312
F 0.236 0.065 0.690
F 0.291 0.704 0.291
F 0.296 0.709 0.709
F 0.704 0.291 0.291
F 0.709 0.296 0.709
F 0.764 0.935 0.310
F 0.766 0.938 0.688
F 0.935 0.764 0.310
F 0.938 0.766 0.688


[3]
The following is a PBE-GGA calculation of Sr3RhF12 after structural relaxation, from the Materials Project database.

total moment: 0.558 μB/cell
MP2020-corrected energy: -4.986 eV/atom
ΔH_f (0 K): -2.7734 eV per atom

Lattice parameters (Å, degrees): 8.281 8.281 4.740 103.12 103.12 121.27
Positions (direct):
Sr 0.000 0.000 0.000
Sr 0.000 0.500 0.500
Sr 0.500 0.000 0.500
Rh 0.500 0.500 0.500
F 0.130 0.724 0.186
F 0.164 0.325 0.462
F 0.276 0.870 0.814
F 0.325 0.164 0.462
F 0.326 0.503 0.162
F 0.497 0.674 0.838
F 0.503 0.326 0.162
F 0.674 0.497 0.838
F 0.675 0.836 0.538
F 0.724 0.130 0.186
F 0.836 0.675 0.538
F 0.870 0.276 0.814


[4]
The following is a PBE-GGA calculation of ZnRhF6 after structural relaxation, from the Materials Project database.

MP2020-corrected energy: -4.619 eV/atom
ΔH_f (0 K): -2.1054 eV per atom

Lattice parameters (Å, degrees): 5.483 5.483 5.483 55.70 55.70 55.70
Positions (direct):
Zn 0.000 0.000 0.000
Rh 0.500 0.500 0.500
F 0.120 0.740 0.394
F 0.260 0.606 0.880
F 0.394 0.120 0.740
F 0.606 0.880 0.260
F 0.740 0.394 0.120
F 0.880 0.260 0.606


[5]
The following is a PBE-GGA calculation of RuF3 after structural relaxation, from the Materials Project database.

total moment: 6.002 μB/cell
MP2020-corrected energy: -5.383 eV/atom
ΔH_f (0 K): -1.6285 eV per atom

Lattice parameters (Å, degrees): 5.435 5.435 6.289 96.55 96.55 110.46
Positions (direct):
Ru 0.000 0.000 0.000
Ru 0.000 0.000 0.500
F 0.127 0.320 0.884
F 0.147 0.853 0.750
F 0.320 0.127 0.384
F 0.680 0.873 0.616
F 0.853 0.147 0.250
F 0.873 0.680 0.116


[6]
The following is a PBE-GGA calculation of RuF6 after structural relaxation, from the Materials Project database.

MP2020-corrected energy: -4.866 eV/atom
ΔH_f (0 K): -1.9002 eV per atom

Lattice parameters (Å, degrees): 5.472 5.472 5.472 109.47 109.47 109.47
Positions (direct):
Ru 0.000 0.000 0.000
F 0.000 0.294 0.294
F 0.000 0.706 0.706
F 0.294 0.000 0.294
F 0.294 0.294 0.000
F 0.706 0.000 0.706
F 0.706 0.706 0.000


[7]
The following is a PBE-GGA calculation of RuF6 after structural relaxation, from the Materials Project database.

MP2020-corrected energy: -4.871 eV/atom
ΔH_f (0 K): -1.9049 eV per atom

Lattice parameters (Å, degrees): 9.399 8.599 4.970 90.00 90.00 90.00
Positions (direct):
Ru 0.129 0.250 0.081
Ru 0.371 0.750 0.581
Ru 0.629 0.250 0.419
Ru 0.871 0.750 0.919
F 0.014 0.250 0.777
F 0.015 0.098 0.236
F 0.015 0.402 0.236
F 0.243 0.097 0.927
F 0.243 0.403 0.927
F 0.245 0.250 0.385
F 0.255 0.750 0.885
F 0.257 0.597 0.427
F 0.257 0.903 0.427
F 0.485 0.598 0.736
F 0.485 0.902 0.736
F 0.486 0.750 0.277
F 0.514 0.250 0.723
F 0.515 0.098 0.264
F 0.515 0.402 0.264
F 0.743 0.097 0.573
F 0.743 0.403 0.573
F 0.745 0.250 0.115
F 0.755 0.750 0.615
F 0.757 0.597 0.073
F 0.757 0.903 0.073
F 0.985 0.598 0.764
F 0.985 0.902 0.764
F 0.986 0.750 0.223


[8]
The following is a PBE-GGA calculation of RuF4 after structural relaxation, from the Materials Project database.

MP2020-corrected energy: -5.368 eV/atom
ΔH_f (0 K): -1.9819 eV per atom

Lattice parameters (Å, degrees): 5.446 5.055 5.518 90.00 117.09 90.00
Positions (direct):
Ru 0.000 0.000 0.000
Ru 0.000 0.500 0.500
F 0.120 0.168 0.373
F 0.120 0.332 0.873
F 0.348 0.646 0.613
F 0.348 0.854 0.113
F 0.652 0.146 0.887
F 0.652 0.354 0.387
F 0.880 0.668 0.127
F 0.880 0.832 0.627